Record 1
PBE with a Hubbard U La24Ni16O55, optimized geometry; SG = C2/m, No. 12
1.0
6.168 -10.107 0.000
6.168 10.107 0.000
-4.937 0.000 9.872
La Ni O
24 16 55
direct
0.000 0.000 0.000
0.000 0.000 0.500
0.069 0.428 0.875
0.072 0.429 0.374
0.178 0.822 0.000
0.179 0.821 0.500
0.233 0.233 0.866
0.240 0.240 0.370
0.321 0.679 0.250
0.321 0.679 0.750
0.428 0.069 0.875
0.429 0.072 0.374
0.500 0.500 0.271
0.500 0.500 0.729
0.571 0.928 0.626
0.572 0.931 0.125
0.679 0.321 0.250
0.679 0.321 0.750
0.760 0.760 0.630
0.767 0.767 0.134
0.821 0.179 0.500
0.822 0.178 0.000
0.928 0.571 0.626
0.931 0.572 0.125
0.100 0.899 0.750
0.101 0.900 0.250
0.153 0.350 0.124
0.153 0.350 0.627
0.350 0.153 0.124
0.350 0.153 0.627
0.397 0.603 0.000
0.400 0.600 0.500
0.600 0.400 0.500
0.603 0.397 0.000
0.650 0.847 0.373
0.650 0.847 0.876
0.847 0.650 0.373
0.847 0.650 0.876
0.899 0.100 0.750
0.900 0.101 0.250
0.001 0.001 0.751
0.025 0.225 0.188
0.025 0.225 0.437
0.027 0.223 0.688
0.027 0.223 0.937
0.050 0.460 0.122
0.051 0.461 0.633
0.204 0.791 0.249
0.209 0.796 0.751
0.223 0.027 0.688
0.223 0.027 0.937
0.225 0.025 0.188
0.225 0.025 0.437
0.241 0.241 0.128
0.241 0.241 0.614
0.277 0.474 0.312
0.278 0.474 0.563
0.288 0.468 0.061
0.288 0.468 0.817
0.294 0.706 0.500
0.295 0.705 0.000
0.460 0.050 0.122
0.461 0.051 0.633
0.468 0.288 0.061
0.468 0.288 0.817
0.474 0.277 0.312
0.474 0.278 0.563
0.500 0.500 0.500
0.526 0.722 0.437
0.526 0.723 0.688
0.532 0.712 0.183
0.532 0.712 0.939
0.539 0.949 0.367
0.540 0.950 0.878
0.705 0.295 0.000
0.706 0.294 0.500
0.712 0.532 0.183
0.712 0.532 0.939
0.722 0.526 0.437
0.723 0.526 0.688
0.759 0.759 0.386
0.759 0.759 0.872
0.775 0.975 0.563
0.775 0.975 0.812
0.777 0.973 0.063
0.777 0.973 0.312
0.791 0.204 0.249
0.796 0.209 0.751
0.949 0.539 0.367
0.950 0.540 0.878
0.973 0.777 0.063
0.973 0.777 0.312
0.975 0.775 0.563
0.975 0.775 0.812
0.999 0.999 0.249

---

Record 2
PBE with a Hubbard U La2NiO4, optimized geometry; SG = Cmc2_1, No. 36; ΔE to the lowest computed polymorph = 147 meV per atom
1.0
1.983 -6.794 0.000
1.983 6.794 0.000
0.000 0.000 7.343
La Ni O
4 2 8
direct
0.053 0.947 0.500
0.284 0.716 0.703
0.716 0.284 0.203
0.947 0.053 0.000
0.390 0.610 0.311
0.610 0.390 0.811
0.102 0.898 0.851
0.234 0.766 0.364
0.353 0.647 0.055
0.457 0.543 0.712
0.543 0.457 0.212
0.647 0.353 0.555
0.766 0.234 0.864
0.898 0.102 0.351

---

E_form per entry: -2.785; -2.921 eV/atom
Uncorrected energy per entry: -669.21; -101.20 eV for the cell shown